PmHoRh2: relaxed, r2SCAN.

The structure in CIF format:
```
data_PmHoRh2
_chemical_formula_sum 'Pm1 Ho1 Rh2'
_space_group_name_H-M_alt 'P 1'
_space_group_IT_number 1
_space_group_name_Hall 'P 1'
_cell_length_a 4.873
_cell_length_b 4.873
_cell_length_c 4.873
_cell_angle_alpha 60.00
_cell_angle_beta 60.00
_cell_angle_gamma 60.00
loop_
_atom_site_label
_atom_site_fract_x
_atom_site_fract_y
_atom_site_fract_z
_atom_site_occupancy
Pm1 0.000 0.000 0.000 1
Ho1 0.500 0.500 0.500 1
Rh1 0.250 0.250 0.250 1
Rh2 0.750 0.750 0.750 1
```

space-group type	Fm-3m, No. 225

V3Si2Mo3: relaxed, r2SCAN.

The structure in CIF format:
```
data_V3Si2Mo3
_chemical_formula_sum 'V3 Si2 Mo3'
_space_group_name_H-M_alt 'P 1'
_space_group_IT_number 1
_space_group_name_Hall 'P 1'
_cell_length_a 4.781
_cell_length_b 4.781
_cell_length_c 4.781
_cell_angle_alpha 90.02
_cell_angle_beta 89.98
_cell_angle_gamma 89.98
loop_
_atom_site_label
_atom_site_fract_x
_atom_site_fract_y
_atom_site_fract_z
_atom_site_occupancy
V1 0.499 0.250 0.999 1
V2 0.750 0.999 0.501 1
V3 0.001 0.501 0.250 1
Si1 0.507 0.493 0.493 1
Si2 0.993 0.007 0.007 1
Mo1 0.500 0.750 0.000 1
Mo2 0.250 0.000 0.500 1
Mo3 0.000 0.500 0.750 1
```

space-group type	R32, No. 155

ErFeC2: relaxed, r2SCAN.

The structure in CIF format:
```
data_ErFeC2
_chemical_formula_sum 'Er1 Fe1 C2'
_space_group_name_H-M_alt 'P 1'
_space_group_IT_number 1
_space_group_name_Hall 'P 1'
_cell_length_a 3.542
_cell_length_b 3.730
_cell_length_c 3.730
_cell_angle_alpha 105.50
_cell_angle_beta 90.00
_cell_angle_gamma 90.00
loop_
_atom_site_label
_atom_site_fract_x
_atom_site_fract_y
_atom_site_fract_z
_atom_site_occupancy
Er1 0.000 0.992 0.008 1
Fe1 0.500 0.391 0.609 1
C1 0.500 0.857 0.455 1
C2 0.500 0.545 0.143 1
```

space-group type	Amm2, No. 38

Na2LiTlCl6: relaxed, r2SCAN.

The structure in CIF format:
```
data_Na2LiTlCl6
_chemical_formula_sum 'Na2 Li1 Tl1 Cl6'
_space_group_name_H-M_alt 'P 1'
_space_group_IT_number 1
_space_group_name_Hall 'P 1'
_cell_length_a 7.146
_cell_length_b 7.146
_cell_length_c 7.146
_cell_angle_alpha 60.00
_cell_angle_beta 60.00
_cell_angle_gamma 60.00
loop_
_atom_site_label
_atom_site_fract_x
_atom_site_fract_y
_atom_site_fract_z
_atom_site_occupancy
Na1 0.750 0.750 0.750 1
Na2 0.250 0.250 0.250 1
Li1 0.500 0.500 0.500 1
Tl1 0.000 0.000 0.000 1
Cl1 0.746 0.254 0.254 1
Cl2 0.254 0.254 0.746 1
Cl3 0.254 0.746 0.746 1
Cl4 0.254 0.746 0.254 1
Cl5 0.746 0.254 0.746 1
Cl6 0.746 0.746 0.254 1
```

space-group type	Fm-3m, No. 225

Sc3B2Rh5: relaxed, r2SCAN.

The structure in CIF format:
```
data_Sc3B2Rh5
_chemical_formula_sum 'Sc6 B4 Rh10'
_space_group_name_H-M_alt 'P 1'
_space_group_IT_number 1
_space_group_name_Hall 'P 1'
_cell_length_a 3.100
_cell_length_b 9.454
_cell_length_c 9.454
_cell_angle_alpha 90.00
_cell_angle_beta 90.00
_cell_angle_gamma 90.00
loop_
_atom_site_label
_atom_site_fract_x
_atom_site_fract_y
_atom_site_fract_z
_atom_site_occupancy
Sc1 0.000 0.325 0.825 1
Sc2 0.000 0.175 0.325 1
Sc3 0.000 0.825 0.675 1
Sc4 0.000 0.675 0.175 1
Sc5 0.000 0.000 0.000 1
Sc6 0.000 0.500 0.500 1
B1 0.000 0.123 0.623 1
B2 0.000 0.377 0.123 1
B3 0.000 0.623 0.877 1
B4 0.000 0.877 0.377 1
Rh1 0.500 0.223 0.072 1
Rh2 0.500 0.928 0.223 1
Rh3 0.500 0.072 0.777 1
Rh4 0.500 0.777 0.928 1
Rh5 0.500 0.723 0.428 1
Rh6 0.500 0.277 0.572 1
Rh7 0.500 0.572 0.723 1
Rh8 0.500 0.428 0.277 1
Rh9 0.500 0.000 0.500 1
Rh10 0.500 0.500 0.000 1
```

space-group type	P4/mbm, No. 127

Er2Te5O13: relaxed, r2SCAN.

The structure in CIF format:
```
data_Er2Te5O13
_chemical_formula_sum 'Er4 Te10 O26'
_space_group_name_H-M_alt 'P 1'
_space_group_IT_number 1
_space_group_name_Hall 'P 1'
_cell_length_a 6.899
_cell_length_b 8.619
_cell_length_c 10.533
_cell_angle_alpha 88.69
_cell_angle_beta 86.76
_cell_angle_gamma 74.79
loop_
_atom_site_label
_atom_site_fract_x
_atom_site_fract_y
_atom_site_fract_z
_atom_site_occupancy
Er1 0.552 0.529 0.180 1
Er2 0.999 0.739 0.239 1
Er3 0.448 0.471 0.820 1
Er4 0.001 0.261 0.761 1
Te1 0.156 0.804 0.639 1
Te2 0.273 0.396 0.484 1
Te3 0.708 0.121 0.027 1
Te4 0.564 0.097 0.697 1
Te5 0.875 0.650 0.894 1
Te6 0.727 0.604 0.516 1
Te7 0.436 0.903 0.303 1
Te8 0.292 0.879 0.973 1
Te9 0.844 0.196 0.361 1
Te10 0.125 0.350 0.106 1
O1 0.664 0.487 0.383 1
O2 0.044 0.351 0.565 1
O3 0.655 0.019 0.875 1
O4 0.061 0.819 0.037 1
O5 0.875 0.508 0.104 1
O6 0.313 0.735 0.289 1
O7 0.459 0.195 0.520 1
O8 0.064 0.269 0.278 1
O9 0.329 0.225 0.777 1
O10 0.336 0.513 0.617 1
O11 0.936 0.731 0.722 1
O12 0.125 0.492 0.896 1
O13 0.670 0.262 0.228 1
O14 0.671 0.775 0.223 1
O15 0.766 0.502 0.816 1
O16 0.467 0.672 0.999 1
O17 0.541 0.805 0.480 1
O18 0.939 0.181 0.963 1
O19 0.345 0.981 0.125 1
O20 0.234 0.498 0.184 1
O21 0.938 0.984 0.306 1
O22 0.062 0.016 0.694 1
O23 0.687 0.265 0.711 1
O24 0.533 0.328 0.001 1
O25 0.330 0.738 0.772 1
O26 0.956 0.649 0.435 1
```

space-group type	P-1, No. 2

Nd2P7Rh12: relaxed, r2SCAN.

The structure in CIF format:
```
data_Nd2P7Rh12
_chemical_formula_sum 'Nd2 P7 Rh12'
_space_group_name_H-M_alt 'P 1'
_space_group_IT_number 1
_space_group_name_Hall 'P 1'
_cell_length_a 9.561
_cell_length_b 9.561
_cell_length_c 3.899
_cell_angle_alpha 90.00
_cell_angle_beta 90.00
_cell_angle_gamma 120.00
loop_
_atom_site_label
_atom_site_fract_x
_atom_site_fract_y
_atom_site_fract_z
_atom_site_occupancy
Nd1 0.333 0.667 0.749 1
Nd2 0.667 0.333 0.251 1
P1 0.000 0.000 0.500 1
P2 0.885 0.597 0.755 1
P3 0.403 0.287 0.755 1
P4 0.713 0.115 0.755 1
P5 0.115 0.403 0.245 1
P6 0.597 0.713 0.245 1
P7 0.287 0.885 0.245 1
Rh1 0.619 0.554 0.750 1
Rh2 0.446 0.065 0.750 1
Rh3 0.935 0.381 0.750 1
Rh4 0.381 0.446 0.250 1
Rh5 0.554 0.935 0.250 1
Rh6 0.065 0.619 0.250 1
Rh7 0.109 0.850 0.751 1
Rh8 0.150 0.259 0.751 1
Rh9 0.741 0.891 0.751 1
Rh10 0.891 0.150 0.249 1
Rh11 0.850 0.741 0.249 1
Rh12 0.259 0.109 0.249 1
```

space-group type	P-3, No. 147

La2B6Rh9: relaxed, r2SCAN.

The structure in CIF format:
```
data_La2B6Rh9
_chemical_formula_sum 'La2 B6 Rh9'
_space_group_name_H-M_alt 'P 1'
_space_group_IT_number 1
_space_group_name_Hall 'P 1'
_cell_length_a 5.657
_cell_length_b 5.657
_cell_length_c 8.517
_cell_angle_alpha 90.00
_cell_angle_beta 90.00
_cell_angle_gamma 120.00
loop_
_atom_site_label
_atom_site_fract_x
_atom_site_fract_y
_atom_site_fract_z
_atom_site_occupancy
La1 0.000 0.000 0.286 1
La2 0.000 0.000 0.714 1
B1 0.333 0.667 0.000 1
B2 0.667 0.333 0.000 1
B3 0.333 0.667 0.334 1
B4 0.667 0.333 0.334 1
B5 0.667 0.333 0.666 1
B6 0.333 0.667 0.666 1
Rh1 0.500 0.000 0.163 1
Rh2 0.500 0.500 0.163 1
Rh3 0.000 0.500 0.163 1
Rh4 0.500 0.000 0.837 1
Rh5 0.500 0.500 0.837 1
Rh6 0.000 0.500 0.837 1
Rh7 0.500 0.000 0.500 1
Rh8 0.500 0.500 0.500 1
Rh9 0.000 0.500 0.500 1
```

space-group type	P6/mmm, No. 191

TiH2: relaxed, r2SCAN.

The structure in CIF format:
```
data_TiH2
_chemical_formula_sum 'Ti2 H4'
_space_group_name_H-M_alt 'P 1'
_space_group_IT_number 1
_space_group_name_Hall 'P 1'
_cell_length_a 2.912
_cell_length_b 2.912
_cell_length_c 4.863
_cell_angle_alpha 90.00
_cell_angle_beta 90.00
_cell_angle_gamma 90.00
loop_
_atom_site_label
_atom_site_fract_x
_atom_site_fract_y
_atom_site_fract_z
_atom_site_occupancy
Ti1 0.500 0.000 0.264 1
Ti2 0.000 0.500 0.736 1
H1 0.500 0.500 0.000 1
H2 0.000 0.000 0.000 1
H3 0.000 0.500 0.348 1
H4 0.500 0.000 0.652 1
```

space-group type	P4/nmm, No. 129

LiMg2: relaxed, r2SCAN.

The structure in CIF format:
```
data_LiMg2
_chemical_formula_sum 'Li2 Mg4'
_space_group_name_H-M_alt 'P 1'
_space_group_IT_number 1
_space_group_name_Hall 'P 1'
_cell_length_a 8.275
_cell_length_b 8.275
_cell_length_c 5.140
_cell_angle_alpha 90.00
_cell_angle_beta 90.00
_cell_angle_gamma 158.32
loop_
_atom_site_label
_atom_site_fract_x
_atom_site_fract_y
_atom_site_fract_z
_atom_site_occupancy
Li1 0.279 0.721 0.250 1
Li2 0.721 0.279 0.750 1
Mg1 0.614 0.386 0.250 1
Mg2 0.943 0.057 0.250 1
Mg3 0.057 0.943 0.750 1
Mg4 0.386 0.614 0.750 1
```

space-group type	Cmcm, No. 63

Na2ZrSi6O18: relaxed, r2SCAN.

The structure in CIF format:
```
data_Na2ZrSi6O18
_chemical_formula_sum 'Na4 Zr2 Si12 O36'
_space_group_name_H-M_alt 'P 1'
_space_group_IT_number 1
_space_group_name_Hall 'P 1'
_cell_length_a 7.166
_cell_length_b 7.360
_cell_length_c 14.564
_cell_angle_alpha 90.00
_cell_angle_beta 90.00
_cell_angle_gamma 90.00
loop_
_atom_site_label
_atom_site_fract_x
_atom_site_fract_y
_atom_site_fract_z
_atom_site_occupancy
Na1 0.028 0.032 0.750 1
Na2 0.028 0.968 0.250 1
Na3 0.505 0.000 0.500 1
Na4 0.505 0.000 0.000 1
Zr1 0.003 0.000 0.500 1
Zr2 0.003 0.000 0.000 1
Si1 0.286 0.717 0.644 1
Si2 0.286 0.283 0.356 1
Si3 0.286 0.717 0.856 1
Si4 0.286 0.283 0.144 1
Si5 0.730 0.722 0.644 1
Si6 0.730 0.278 0.356 1
Si7 0.730 0.722 0.856 1
Si8 0.730 0.278 0.144 1
Si9 0.007 0.404 0.641 1
Si10 0.007 0.596 0.359 1
Si11 0.007 0.404 0.859 1
Si12 0.007 0.596 0.141 1
O1 0.231 0.775 0.750 1
O2 0.231 0.225 0.250 1
O3 0.217 0.876 0.578 1
O4 0.217 0.124 0.422 1
O5 0.217 0.876 0.922 1
O6 0.217 0.124 0.078 1
O7 0.194 0.521 0.621 1
O8 0.194 0.479 0.379 1
O9 0.194 0.521 0.879 1
O10 0.194 0.479 0.121 1
O11 0.001 0.351 0.750 1
O12 0.001 0.649 0.250 1
O13 0.005 0.216 0.589 1
O14 0.005 0.784 0.411 1
O15 0.005 0.216 0.911 1
O16 0.005 0.784 0.089 1
O17 0.508 0.692 0.638 1
O18 0.508 0.308 0.362 1
O19 0.508 0.692 0.862 1
O20 0.508 0.308 0.138 1
O21 0.786 0.778 0.750 1
O22 0.786 0.222 0.250 1
O23 0.791 0.884 0.579 1
O24 0.791 0.116 0.421 1
O25 0.791 0.884 0.921 1
O26 0.791 0.116 0.079 1
O27 0.826 0.529 0.619 1
O28 0.826 0.471 0.381 1
O29 0.826 0.529 0.881 1
O30 0.826 0.471 0.119 1
O31 0.496 0.137 0.750 1
O32 0.496 0.863 0.250 1
O33 0.402 0.140 0.675 1
O34 0.402 0.860 0.325 1
O35 0.402 0.140 0.825 1
O36 0.402 0.860 0.175 1
```

space-group type	Pma2, No. 28

LaB2Ru3: relaxed, r2SCAN.

The structure in CIF format:
```
data_LaB2Ru3
_chemical_formula_sum 'La1 B2 Ru3'
_space_group_name_H-M_alt 'P 1'
_space_group_IT_number 1
_space_group_name_Hall 'P 1'
_cell_length_a 5.581
_cell_length_b 5.581
_cell_length_c 3.023
_cell_angle_alpha 90.00
_cell_angle_beta 90.00
_cell_angle_gamma 120.00
loop_
_atom_site_label
_atom_site_fract_x
_atom_site_fract_y
_atom_site_fract_z
_atom_site_occupancy
La1 0.000 0.000 0.000 1
B1 0.667 0.333 0.000 1
B2 0.333 0.667 0.000 1
Ru1 0.500 0.000 0.500 1
Ru2 0.000 0.500 0.500 1
Ru3 0.500 0.500 0.500 1
```

space-group type	P6/mmm, No. 191

YTmCd2: relaxed, r2SCAN.

The structure in CIF format:
```
data_YTmCd2
_chemical_formula_sum 'Y1 Tm1 Cd2'
_space_group_name_H-M_alt 'P 1'
_space_group_IT_number 1
_space_group_name_Hall 'P 1'
_cell_length_a 5.235
_cell_length_b 5.235
_cell_length_c 5.235
_cell_angle_alpha 60.00
_cell_angle_beta 60.00
_cell_angle_gamma 60.00
loop_
_atom_site_label
_atom_site_fract_x
_atom_site_fract_y
_atom_site_fract_z
_atom_site_occupancy
Y1 0.000 0.000 0.000 1
Tm1 0.500 0.500 0.500 1
Cd1 0.750 0.750 0.750 1
Cd2 0.250 0.250 0.250 1
```

space-group type	Fm-3m, No. 225

PuInHg2: relaxed, r2SCAN.

The structure in CIF format:
```
data_PuInHg2
_chemical_formula_sum 'Pu1 In1 Hg2'
_space_group_name_H-M_alt 'P 1'
_space_group_IT_number 1
_space_group_name_Hall 'P 1'
_cell_length_a 5.186
_cell_length_b 5.186
_cell_length_c 5.186
_cell_angle_alpha 60.00
_cell_angle_beta 60.00
_cell_angle_gamma 60.00
loop_
_atom_site_label
_atom_site_fract_x
_atom_site_fract_y
_atom_site_fract_z
_atom_site_occupancy
Pu1 0.000 0.000 0.000 1
In1 0.500 0.500 0.500 1
Hg1 0.250 0.250 0.250 1
Hg2 0.750 0.750 0.750 1
```

space-group type	Fm-3m, No. 225

ErAs: relaxed, r2SCAN.

The structure in CIF format:
```
data_ErAs
_chemical_formula_sum 'Er1 As1'
_space_group_name_H-M_alt 'P 1'
_space_group_IT_number 1
_space_group_name_Hall 'P 1'
_cell_length_a 4.065
_cell_length_b 4.065
_cell_length_c 4.065
_cell_angle_alpha 60.00
_cell_angle_beta 60.00
_cell_angle_gamma 60.00
loop_
_atom_site_label
_atom_site_fract_x
_atom_site_fract_y
_atom_site_fract_z
_atom_site_occupancy
Er1 0.500 0.500 0.500 1
As1 0.000 0.000 0.000 1
```

space-group type	Fm-3m, No. 225

Rb3Bi2I9: relaxed, r2SCAN.

The structure in CIF format:
```
data_Rb3Bi2I9
_chemical_formula_sum 'Rb6 Bi4 I18'
_space_group_name_H-M_alt 'P 1'
_space_group_IT_number 1
_space_group_name_Hall 'P 1'
_cell_length_a 8.431
_cell_length_b 8.431
_cell_length_c 21.674
_cell_angle_alpha 86.90
_cell_angle_beta 86.90
_cell_angle_gamma 120.20
loop_
_atom_site_label
_atom_site_fract_x
_atom_site_fract_y
_atom_site_fract_z
_atom_site_occupancy
Rb1 0.972 0.028 0.750 1
Rb2 0.678 0.319 0.071 1
Rb3 0.028 0.972 0.250 1
Rb4 0.319 0.678 0.571 1
Rb5 0.322 0.681 0.929 1
Rb6 0.681 0.322 0.429 1
Bi1 0.632 0.304 0.657 1
Bi2 0.368 0.696 0.343 1
Bi3 0.304 0.632 0.157 1
Bi4 0.696 0.368 0.843 1
I1 0.615 0.777 0.059 1
I2 0.385 0.223 0.941 1
I3 0.491 0.994 0.776 1
I4 0.218 0.895 0.413 1
I5 0.895 0.218 0.913 1
I6 0.777 0.615 0.559 1
I7 0.782 0.105 0.587 1
I8 0.269 0.098 0.604 1
I9 0.509 0.006 0.224 1
I10 0.006 0.509 0.724 1
I11 0.105 0.782 0.087 1
I12 0.994 0.491 0.276 1
I13 0.494 0.506 0.750 1
I14 0.902 0.731 0.896 1
I15 0.098 0.269 0.104 1
I16 0.731 0.902 0.396 1
I17 0.506 0.494 0.250 1
I18 0.223 0.385 0.441 1
```

space-group type	C2/c, No. 15

What V values result from the calculations? In sequence: 20.46; 13.66; 11.87; 25.81; 13.86; 15.08; 14.70; 13.89; 6.87; 21.67; 14.23; 13.59; 25.36; 24.66; 23.75; 47.28 Å³ per atom.
What total DFT energy (no corrections) values result from the calculations? In sequence: -28.510; -17.759; -17.359; -11.347; -17.894; -15.539; -20.578; -19.581; -7.064; -3.592; -9.668; -20.567; -24.296; -52.215; -26.098; -28.189 eV/atom.
What magnetization values result from the calculations? In sequence: 0.00; 0.00; 1.72; 0.00; 0.00; 0.00; 0.00; 0.00; 0.00; 0.00; 0.00; 0.00; 0.00; 5.56; 0.00; 0.00 μB/f.u..